Version 1
Below is WOF3 after structural relaxation, with properties calculated at the PBE+U level.

Properties
Piezoelectric modulus e_max = 0.2 C/m2
Crystal system = orthorhombic

Unit cell a=5.495 b=5.558 c=9.546 alpha=90.00 beta=90.00 gamma=90.00
Space group P2_12_12_1 (No. 19)
Inequivalent atoms, fractional coordinates:
W: 0.140 0.115 0.114 (multiplicity 4)
O: 0.129 0.705 0.490 (multiplicity 4)
F: 0.068 0.423 0.242 (multiplicity 4)
F: 0.101 0.931 0.744 (multiplicity 4)
F: 0.217 0.819 0.024 (multiplicity 4)

---

Version 2
Below is WOF3 after structural relaxation, with properties calculated at the PBE+U level.

Properties
Crystal system = tetragonal

Unit cell a=9.291 b=9.291 c=3.860 alpha=90.00 beta=90.00 gamma=90.00
Space group P-42_1m (No. 113)
Inequivalent atoms, fractional coordinates:
W: 0.132 0.368 0.259 (multiplicity 4)
O: 0.127 0.373 0.759 (multiplicity 4)
F: 0.093 0.593 0.258 (multiplicity 4)
F: 0.109 0.166 0.259 (multiplicity 8)

---

Ranking the structures above by stability puts version 1 first and version 2 last.